(1)
{"formula": "ZnH20PtC4N4O12", "functional": "PBE-GGA", "state": "relaxed", "lattice_angstrom": [[1.700, 3.887, -5.860], [-4.754, 5.418, 2.215], [7.108, -1.320, 5.652]], "species": ["Zn", "H", "H", "H", "H", "H", "H", "H", "H", "H", "H", "H", "H", "H", "H", "H", "H", "H", "H", "H", "H", "Pt", "C", "C", "C", "C", "N", "N", "N", "N", "O", "O", "O", "O", "O", "O", "O", "O", "O", "O", "O", "O"], "fractional_positions": [[0.000, 0.500, 0.000], [0.472, 0.817, 0.185], [0.713, 0.368, 0.185], [0.287, 0.183, 0.815], [0.528, 0.632, 0.815], [0.655, 0.018, 0.316], [0.661, 0.298, 0.316], [0.339, 0.982, 0.684], [0.345, 0.702, 0.684], [0.699, 0.812, 0.183], [0.484, 0.372, 0.183], [0.516, 0.188, 0.817], [0.301, 0.628, 0.817], [0.945, 0.802, 0.891], [0.946, 0.090, 0.891], [0.054, 0.198, 0.109], [0.055, 0.910, 0.109], [0.921, 0.811, 0.623], [0.702, 0.813, 0.623], [0.298, 0.189, 0.377], [0.079, 0.187, 0.377], [0.500, 0.000, 0.000], [0.926, 0.317, 0.636], [0.709, 0.319, 0.636], [0.291, 0.683, 0.364], [0.074, 0.681, 0.364], [0.591, 0.899, 0.191], [0.600, 0.292, 0.191], [0.400, 0.101, 0.809], [0.409, 0.708, 0.809], [0.083, 0.392, 0.786], [0.703, 0.394, 0.786], [0.297, 0.608, 0.214], [0.917, 0.606, 0.214], [0.928, 0.241, 0.486], [0.558, 0.245, 0.486], [0.442, 0.759, 0.514], [0.072, 0.755, 0.514], [0.000, 0.781, 0.000], [0.000, 0.219, 0.000], [0.852, 0.852, 0.703], [0.148, 0.148, 0.297]]}

(2)
{"formula": "YBiO3", "functional": "PBE-GGA", "state": "relaxed", "lattice_angstrom": [[5.361, -3.017, 0.000], [5.361, 3.017, 0.000], [3.664, 0.000, 4.941]], "species": ["Y", "Y", "Bi", "Bi", "O", "O", "O", "O", "O", "O"], "fractional_positions": [[0.141, 0.141, 0.141], [0.859, 0.859, 0.859], [0.356, 0.356, 0.356], [0.644, 0.644, 0.644], [0.780, 0.011, 0.457], [0.989, 0.543, 0.220], [0.543, 0.220, 0.989], [0.457, 0.780, 0.011], [0.011, 0.457, 0.780], [0.220, 0.989, 0.543]]}

(3)
{"formula": "Eu2GeO5", "functional": "PBE-GGA", "state": "relaxed", "lattice_angstrom": [[-6.073, 3.054, -2.590], [-0.470, -5.039, -4.839], [-5.157, -6.888, 3.973]], "species": ["Eu", "Eu", "Eu", "Eu", "Eu", "Eu", "Eu", "Eu", "Ge", "Ge", "Ge", "Ge", "O", "O", "O", "O", "O", "O", "O", "O", "O", "O", "O", "O", "O", "O", "O", "O", "O", "O", "O", "O"], "fractional_positions": [[0.629, 0.265, 0.519], [0.865, 0.948, 0.870], [0.871, 0.765, 0.519], [0.129, 0.235, 0.481], [0.135, 0.052, 0.130], [0.635, 0.448, 0.870], [0.371, 0.735, 0.481], [0.365, 0.552, 0.130], [0.589, 0.023, 0.199], [0.089, 0.477, 0.801], [0.411, 0.977, 0.801], [0.911, 0.523, 0.199], [0.635, 0.994, 0.390], [0.055, 0.724, 0.109], [0.207, 0.004, 0.890], [0.417, 0.831, 0.216], [0.583, 0.169, 0.784], [0.707, 0.496, 0.110], [0.293, 0.504, 0.890], [0.445, 0.224, 0.109], [0.793, 0.996, 0.110], [0.383, 0.431, 0.392], [0.865, 0.494, 0.390], [0.083, 0.331, 0.216], [0.555, 0.776, 0.891], [0.917, 0.669, 0.784], [0.883, 0.069, 0.608], [0.135, 0.506, 0.610], [0.945, 0.276, 0.891], [0.117, 0.931, 0.392], [0.617, 0.569, 0.608], [0.365, 0.006, 0.610]]}

(4)
{"formula": "Na6Hf6Zn2Si5S7O48", "functional": "PBE-GGA", "state": "relaxed", "lattice_angstrom": [[-8.163, 0.528, -15.913], [8.880, -1.351, 0.486], [-3.550, -22.958, 0.978]], "species": ["Na", "Na", "Na", "Na", "Na", "Na", "Na", "Na", "Na", "Na", "Na", "Na", "Na", "Na", "Na", "Na", "Na", "Na", "Hf", "Hf", "Hf", "Hf", "Hf", "Hf", "Hf", "Hf", "Hf", "Hf", "Hf", "Hf", "Hf", "Hf", "Hf", "Hf", "Hf", "Hf", "Zn", "Zn", "Zn", "Zn", "Zn", "Zn", "Si", "Si", "Si", "Si", "Si", "Si", "Si", "Si", "Si", "Si", "Si", "Si", "Si", "Si", "Si", "S", "S", "S", "S", "S", "S", "S", "S", "S", "S", "S", "S", "S", "S", "S", "S", "S", "S", "S", "S", "S", "O", "O", "O", "O", "O", "O", "O", "O", "O", "O", "O", "O", "O", "O", "O", "O", "O", "O", "O", "O", "O", "O", "O", "O", "O", "O", "O", "O", "O", "O", "O", "O", "O", "O", "O", "O", "O", "O", "O", "O", "O", "O", "O", "O", "O", "O", "O", "O", "O", "O", "O", "O", "O", "O", "O", "O", "O", "O", "O", "O", "O", "O", "O", "O", "O", "O", "O", "O", "O", "O", "O", "O", "O", "O", "O", "O", "O", "O", "O", "O", "O", "O", "O", "O", "O", "O", "O", "O", "O", "O", "O", "O", "O", "O", "O", "O", "O", "O", "O", "O", "O", "O", "O", "O", "O", "O", "O", "O", "O", "O", "O", "O", "O", "O", "O", "O", "O", "O", "O", "O", "O", "O", "O", "O", "O", "O", "O", "O", "O", "O", "O", "O", "O", "O", "O", "O", "O", "O", "O", "O", "O", "O", "O", "O"], "fractional_positions": [[0.656, 0.350, 0.581], [0.522, 0.688, 0.584], [0.821, 0.951, 0.582], [0.154, 0.958, 0.084], [0.321, 0.692, 0.085], [0.022, 0.358, 0.087], [0.007, 0.993, 0.494], [0.493, 0.008, 0.500], [0.995, 0.980, 0.003], [0.505, 0.010, 0.000], [0.327, 0.321, 0.817], [0.827, 0.329, 0.832], [0.324, 0.323, 0.334], [0.835, 0.344, 0.322], [0.163, 0.664, 0.160], [0.674, 0.679, 0.173], [0.174, 0.667, 0.667], [0.665, 0.664, 0.654], [0.001, 0.991, 0.356], [0.502, 0.998, 0.352], [0.003, 0.005, 0.852], [0.500, 0.999, 0.851], [0.005, 0.005, 0.647], [0.493, 0.002, 0.645], [0.994, 0.986, 0.148], [0.504, 0.006, 0.150], [0.330, 0.320, 0.985], [0.832, 0.346, 0.977], [0.332, 0.318, 0.477], [0.833, 0.349, 0.482], [0.672, 0.678, 0.015], [0.168, 0.668, 0.511], [0.165, 0.662, 0.319], [0.671, 0.679, 0.310], [0.170, 0.663, 0.809], [0.672, 0.679, 0.816], [0.335, 0.315, 0.690], [0.822, 0.329, 0.671], [0.319, 0.310, 0.176], [0.838, 0.356, 0.193], [0.165, 0.670, 0.027], [0.666, 0.663, 0.526], [0.651, 0.009, 0.249], [0.854, 0.705, 0.252], [0.151, 0.293, 0.749], [0.355, 0.007, 0.752], [0.474, 0.336, 0.586], [0.687, 0.040, 0.585], [0.837, 0.633, 0.586], [0.974, 0.615, 0.086], [0.338, 0.042, 0.085], [0.186, 0.335, 0.086], [0.816, 0.672, 0.915], [0.665, 0.961, 0.917], [0.316, 0.958, 0.414], [0.166, 0.373, 0.417], [0.017, 0.660, 0.417], [0.147, 0.001, 0.250], [0.354, 0.706, 0.249], [0.003, 0.292, 0.250], [0.497, 0.291, 0.252], [0.647, 0.293, 0.751], [0.997, 0.705, 0.751], [0.502, 0.711, 0.750], [0.856, 0.004, 0.750], [0.981, 0.338, 0.586], [0.188, 0.038, 0.584], [0.329, 0.618, 0.585], [0.480, 0.623, 0.084], [0.831, 0.042, 0.084], [0.686, 0.336, 0.083], [0.313, 0.665, 0.918], [0.022, 0.376, 0.917], [0.521, 0.378, 0.916], [0.167, 0.958, 0.917], [0.811, 0.958, 0.418], [0.666, 0.376, 0.417], [0.522, 0.667, 0.418], [0.102, 0.015, 0.301], [0.597, 0.023, 0.304], [0.408, 0.804, 0.300], [0.913, 0.816, 0.306], [0.488, 0.181, 0.303], [0.999, 0.187, 0.300], [0.097, 0.171, 0.805], [0.600, 0.185, 0.802], [0.498, 0.810, 0.801], [0.988, 0.796, 0.803], [0.414, 0.015, 0.808], [0.908, 0.011, 0.801], [0.400, 0.970, 0.696], [0.895, 0.977, 0.697], [0.086, 0.197, 0.694], [0.595, 0.209, 0.698], [0.011, 0.815, 0.699], [0.516, 0.815, 0.697], [0.397, 0.814, 0.196], [0.897, 0.826, 0.194], [0.014, 0.212, 0.195], [0.511, 0.208, 0.199], [0.096, 0.984, 0.197], [0.586, 0.975, 0.193], [0.434, 0.383, 0.640], [0.944, 0.361, 0.638], [0.237, 0.116, 0.636], [0.750, 0.109, 0.641], [0.317, 0.521, 0.637], [0.817, 0.520, 0.643], [0.444, 0.525, 0.137], [0.932, 0.482, 0.138], [0.319, 0.122, 0.141], [0.815, 0.109, 0.136], [0.251, 0.389, 0.139], [0.737, 0.364, 0.135], [0.233, 0.296, 0.029], [0.725, 0.307, 0.030], [0.425, 0.542, 0.032], [0.916, 0.528, 0.027], [0.354, 0.167, 0.027], [0.842, 0.144, 0.031], [0.226, 0.142, 0.531], [0.733, 0.170, 0.529], [0.343, 0.540, 0.532], [0.853, 0.543, 0.529], [0.416, 0.307, 0.528], [0.926, 0.307, 0.534], [0.277, 0.693, 0.970], [0.767, 0.691, 0.972], [0.072, 0.446, 0.970], [0.573, 0.459, 0.968], [0.155, 0.863, 0.970], [0.650, 0.836, 0.973], [0.271, 0.845, 0.472], [0.775, 0.855, 0.470], [0.152, 0.463, 0.473], [0.653, 0.447, 0.470], [0.077, 0.690, 0.473], [0.572, 0.697, 0.470], [0.066, 0.640, 0.360], [0.564, 0.642, 0.366], [0.255, 0.867, 0.358], [0.756, 0.869, 0.366], [0.182, 0.494, 0.360], [0.675, 0.482, 0.366], [0.064, 0.486, 0.866], [0.564, 0.482, 0.864], [0.177, 0.871, 0.866], [0.676, 0.861, 0.861], [0.257, 0.642, 0.866], [0.754, 0.643, 0.859], [0.007, 0.831, 0.411], [0.511, 0.821, 0.408], [0.412, 0.981, 0.408], [0.899, 0.981, 0.408], [0.080, 0.185, 0.409], [0.588, 0.199, 0.408], [0.011, 0.201, 0.907], [0.512, 0.205, 0.911], [0.090, 0.982, 0.908], [0.580, 0.982, 0.910], [0.400, 0.820, 0.908], [0.911, 0.843, 0.909], [0.488, 0.165, 0.591], [0.986, 0.174, 0.590], [0.099, 0.018, 0.589], [0.591, 0.022, 0.593], [0.413, 0.794, 0.589], [0.921, 0.831, 0.592], [0.487, 0.798, 0.088], [0.988, 0.813, 0.092], [0.422, 0.011, 0.089], [0.912, 0.031, 0.088], [0.090, 0.160, 0.091], [0.598, 0.177, 0.088], [0.348, 0.174, 0.751], [0.848, 0.156, 0.748], [0.246, 0.323, 0.743], [0.732, 0.311, 0.749], [0.424, 0.546, 0.750], [0.923, 0.535, 0.747], [0.350, 0.541, 0.246], [0.846, 0.521, 0.251], [0.423, 0.311, 0.246], [0.925, 0.303, 0.247], [0.233, 0.156, 0.248], [0.746, 0.168, 0.242], [0.324, 0.512, 0.922], [0.823, 0.499, 0.920], [0.435, 0.363, 0.922], [0.933, 0.351, 0.922], [0.247, 0.136, 0.920], [0.753, 0.145, 0.925], [0.325, 0.149, 0.421], [0.819, 0.129, 0.422], [0.253, 0.358, 0.426], [0.744, 0.356, 0.420], [0.433, 0.515, 0.422], [0.923, 0.485, 0.423], [0.173, 0.498, 0.076], [0.672, 0.484, 0.073], [0.073, 0.653, 0.078], [0.568, 0.646, 0.074], [0.253, 0.855, 0.076], [0.756, 0.859, 0.075], [0.176, 0.862, 0.577], [0.672, 0.848, 0.576], [0.256, 0.652, 0.578], [0.752, 0.652, 0.577], [0.070, 0.487, 0.578], [0.573, 0.495, 0.578], [0.153, 0.842, 0.253], [0.649, 0.823, 0.259], [0.269, 0.694, 0.253], [0.757, 0.687, 0.258], [0.083, 0.467, 0.253], [0.579, 0.460, 0.258], [0.150, 0.476, 0.759], [0.650, 0.462, 0.757], [0.079, 0.699, 0.759], [0.581, 0.693, 0.757], [0.259, 0.831, 0.759], [0.768, 0.842, 0.755]]}

(5)
{"formula": "Pr2Tl", "functional": "PBE-GGA", "state": "relaxed", "lattice_angstrom": [[2.813, -4.872, 0.000], [2.813, 4.872, 0.000], [0.000, 0.000, 7.005]], "species": ["Pr", "Pr", "Pr", "Pr", "Tl", "Tl"], "fractional_positions": [[0.000, 0.000, 0.000], [0.667, 0.333, 0.250], [0.333, 0.667, 0.750], [0.000, 0.000, 0.500], [0.333, 0.667, 0.250], [0.667, 0.333, 0.750]]}

(6)
{"formula": "MgTiS2", "functional": "PBE-GGA", "state": "relaxed", "lattice_angstrom": [[3.489, 0.000, 0.000], [-1.744, 3.021, 0.000], [0.000, 0.000, 6.247]], "species": ["Mg", "Ti", "S", "S"], "fractional_positions": [[0.000, 0.000, 0.500], [0.000, 0.000, 0.000], [0.333, 0.667, 0.245], [0.667, 0.333, 0.755]]}

| no. | formation energy (eV/atom) | uncorrected energy (eV per cell) |
| --- | --- | --- |
| 1 | -1.040 | -240.2 |
| 2 | -2.759 | -73.9 |
| 3 | -2.830 | -276.3 |
| 4 | -2.698 | -1591.4 |
| 5 | -0.267 | -25.5 |
| 6 | -1.516 | -22.8 |